A plane-wave DFT calculation with PBE was carried out for a relaxed LiBH34C12N4 crystal.

Computed properties:
Formation energy: -167 meV per atom
Energy with MP2020 corrections: -5.322 eV per atom
Calculated total energy: -5.294 eV per atom
Total magnetization: 0.00 Bohr magnetons per cell

Unit cell a=10.7762 b=10.7762 c=10.9039 alpha=90.00 beta=90.00 gamma=120.00
Closest atoms and distances in Å follow each position.
Atoms (fractional coordinates):
Li  0.3333  0.6667  0.0000  4 N 2.31-2.38
Li  0.6667  0.3333  0.5000  4 N 2.31-2.38
B  0.3333  0.6667  0.7467  4 H 1.23-1.24
B  0.6667  0.3333  0.2467  4 H 1.23-1.24
H  0.0076  0.5630  0.0830  1 C 1.10
H  0.0183  0.3436  0.9879  1 C 1.10
H  0.0236  0.6248  0.9291  1 C 1.10
H  0.0365  0.3024  0.5481  1 C 1.11
H  0.0700  0.2094  0.9888  1 C 1.11
H  0.0850  0.3990  0.1804  1 C 1.10
H  0.1198  0.6009  0.2561  1 C 1.10
H  0.1280  0.8283  0.2127  1 C 1.11
H  0.1373  0.3463  0.8723  1 C 1.10
H  0.1395  0.9300  0.9888  1 C 1.11
H  0.1717  0.2997  0.2127  1 C 1.11
H  0.2094  0.1395  0.4888  1 C 1.11
H  0.2090  0.8627  0.8723  1 C 1.10
H  0.2124  0.6357  0.7839  1 B 1.24
H  0.2465  0.7397  0.3504  1 C 1.10
H  0.2603  0.5067  0.3504  1 C 1.10
H  0.2659  0.9635  0.5481  1 C 1.11
H  0.2997  0.1280  0.7127  1 C 1.11
H  0.3024  0.2659  0.0481  1 C 1.11
H  0.3140  0.9150  0.1804  1 C 1.10
H  0.3253  0.9817  0.9879  1 C 1.10
H  0.3333  0.6667  0.6338  1 B 1.23
H  0.3436  0.3253  0.4879  1 C 1.10
H  0.3463  0.2090  0.3723  1 C 1.10
H  0.3644  0.5767  0.7839  1 B 1.24
H  0.3752  0.3989  0.9291  1 C 1.10
H  0.3989  0.0236  0.4291  1 C 1.10
H  0.3990  0.3140  0.6804  1 C 1.10
H  0.3991  0.5189  0.2561  1 C 1.10
H  0.4233  0.7876  0.7839  1 B 1.24
H  0.4370  0.4447  0.0830  1 C 1.10
H  0.4447  0.0076  0.5830  1 C 1.10
H  0.4811  0.8802  0.2561  1 C 1.10
H  0.4933  0.7535  0.3504  1 C 1.10
H  0.5067  0.2465  0.8504  1 C 1.10
H  0.5189  0.1198  0.7561  1 C 1.10
H  0.5553  0.9924  0.0830  1 C 1.10
H  0.5630  0.5553  0.5830  1 C 1.10
H  0.5767  0.2124  0.2839  1 B 1.24
H  0.6009  0.4811  0.7561  1 C 1.10
H  0.6010  0.6860  0.1804  1 C 1.10
H  0.6011  0.9764  0.9291  1 C 1.10
H  0.6248  0.6011  0.4291  1 C 1.10
H  0.6357  0.4233  0.2839  1 B 1.24
H  0.6537  0.7910  0.8723  1 C 1.10
H  0.6564  0.6747  0.9879  1 C 1.10
H  0.6667  0.3333  0.1338  1 B 1.23
H  0.6747  0.0183  0.4879  1 C 1.10
H  0.6860  0.0850  0.6804  1 C 1.10
H  0.6976  0.7341  0.5481  1 C 1.11
H  0.7003  0.8720  0.2127  1 C 1.11
H  0.7341  0.0365  0.0481  1 C 1.11
H  0.7397  0.4933  0.8504  1 C 1.10
H  0.7535  0.2603  0.8504  1 C 1.10
H  0.7876  0.3644  0.2839  1 B 1.24
H  0.7910  0.1373  0.3723  1 C 1.10
H  0.7906  0.8605  0.9888  1 C 1.11
H  0.8283  0.7003  0.7127  1 C 1.11
H  0.8605  0.0700  0.4888  1 C 1.11
H  0.8627  0.6537  0.3723  1 C 1.10
H  0.8720  0.1717  0.7127  1 C 1.11
H  0.8802  0.3991  0.7561  1 C 1.10
H  0.9150  0.6010  0.6804  1 C 1.10
H  0.9300  0.7906  0.4888  1 C 1.11
H  0.9635  0.6976  0.0481  1 C 1.11
H  0.9764  0.3752  0.4291  1 C 1.10
H  0.9817  0.6564  0.4879  1 C 1.10
H  0.9924  0.4370  0.5830  1 C 1.10
C  0.0377  0.6574  0.0256  3 H 1.10-1.11
C  0.1073  0.3239  0.9694  3 H 1.10-1.11
C  0.1891  0.4031  0.1749  2 H 1.10-1.11
C  0.2139  0.8109  0.1749  2 H 1.10-1.11
C  0.2167  0.8927  0.9694  3 H 1.10-1.11
C  0.2242  0.7006  0.2548  2 H 1.10
C  0.2994  0.5236  0.2548  2 H 1.10
C  0.3239  0.2167  0.4694  3 H 1.10-1.11
C  0.3426  0.3802  0.0256  3 H 1.10-1.11
C  0.3802  0.0377  0.5256  3 H 1.10-1.11
C  0.4031  0.2139  0.6749  2 H 1.10-1.11
C  0.4764  0.7758  0.2548  2 H 1.10
C  0.5236  0.2242  0.7548  2 H 1.10
C  0.5969  0.7861  0.1749  2 H 1.10-1.11
C  0.6198  0.9624  0.0256  3 H 1.10-1.11
C  0.6574  0.6198  0.5256  3 H 1.10-1.11
C  0.6761  0.7833  0.9694  3 H 1.10-1.11
C  0.7006  0.4764  0.7548  2 H 1.10
C  0.7758  0.2994  0.7548  2 H 1.10
C  0.7833  0.1073  0.4694  3 H 1.10-1.11
C  0.7861  0.1891  0.6749  2 H 1.10-1.11
C  0.8109  0.5969  0.6749  2 H 1.10-1.11
C  0.8927  0.6761  0.4694  3 H 1.10-1.11
C  0.9624  0.3426  0.5256  3 H 1.10-1.11
N  0.1876  0.7689  0.0452  3 C 1.46-1.47
N  0.2311  0.4186  0.0452  3 C 1.46-1.47
N  0.3333  0.6667  0.2115  3 C 1.47
N  0.4186  0.1876  0.5452  3 C 1.46-1.47
N  0.5814  0.8124  0.0452  3 C 1.46-1.47
N  0.6667  0.3333  0.7115  3 C 1.47
N  0.7689  0.5814  0.5452  3 C 1.46-1.47
N  0.8124  0.2311  0.5452  3 C 1.46-1.47